The following is a GGA+U calculation of an optimized crystal structure of Dy2WO6, from the Materials Project.

Results
Formation enthalpy at 0 K: -3.314 eV/atom
Raw total energy: -292.50 eV per cell
Relative energy among the computed polymorphs: 0 meV per atom

Cell: 5.3995 7.7079 11.4858 Å, 75.47 90.00 90.00°
Closest atoms and distances in Å follow each position.
Fractional positions:
1 O 0.9612 0.9384 0.3959  1 W 2.06, 2 Dy 2.28-2.30
2 O 0.9612 0.0616 0.1041  1 W 2.06, 2 Dy 2.28-2.30
3 O 0.6364 0.4894 0.3876  1 W 1.88
4 O 0.4739 0.1489 0.0692  1 W 1.92
5 O 0.8522 0.6340 0.5482  1 W 1.90
6 O 0.5366 0.2134 0.2717  1 W 2.09, 2 Dy 2.27
7 O 0.0388 0.9384 0.8959  1 W 2.06, 2 Dy 2.28-2.30
8 O 0.9852 0.2905 0.7290  1 W 1.98
9 O 0.4634 0.7866 0.7283  1 W 2.09, 2 Dy 2.27
10 O 0.1478 0.6340 0.0482  1 W 1.90
11 O 0.4739 0.8511 0.4308  1 W 1.92
12 O 0.9852 0.7095 0.7710  1 W 1.98
13 O 0.0148 0.7095 0.2710  1 W 1.98
14 O 0.5366 0.7866 0.2283  1 W 2.09, 2 Dy 2.27
15 O 0.5261 0.8511 0.9308  1 W 1.92
16 O 0.3636 0.5106 0.6124  1 W 1.88
17 O 0.8522 0.3660 0.9518  1 W 1.90
18 O 0.1478 0.3660 0.4518  1 W 1.90
19 O 0.3636 0.4894 0.8876  1 W 1.88
20 O 0.0148 0.2905 0.2290  1 W 1.98
21 O 0.5261 0.1489 0.5692  1 W 1.92
22 O 0.6364 0.5106 0.1124  1 W 1.88
23 O 0.0388 0.0616 0.6041  1 W 2.06, 2 Dy 2.28-2.30
24 O 0.4634 0.2134 0.7717  1 W 2.09, 2 Dy 2.27
25 W 0.2542 0.7215 0.8863  6 O 1.88-2.09
26 W 0.7458 0.2785 0.1137  6 O 1.88-2.09
27 W 0.2542 0.2785 0.6137  6 O 1.88-2.09
28 W 0.7458 0.7215 0.3863  6 O 1.88-2.09
29 Dy 0.2621 0.0000 0.2500  6 O 2.27-2.40
30 Dy 0.1882 0.2033 0.9221  7 O 2.25-2.43
31 Dy 0.1882 0.7967 0.5779  7 O 2.25-2.43
32 Dy 0.7379 0.0000 0.7500  6 O 2.27-2.40
33 Dy 0.6837 0.5000 0.7500  8 O 2.33-2.47
34 Dy 0.8118 0.2033 0.4221  7 O 2.25-2.43
35 Dy 0.8118 0.7967 0.0779  7 O 2.25-2.43
36 Dy 0.3163 0.5000 0.2500  8 O 2.33-2.47